# MgCuSn (r2SCAN, optimized geometry)
# calculated density	5.81	g/cm3
# space-group type	F-43m
# calculated formation energy	-186	meV/atom
data_MgCuSn
_chemical_formula_sum 'Mg1 Cu1 Sn1'
_symmetry_space_group_name_H-M 'P 1'
_symmetry_Int_Tables_number 1
_symmetry_space_group_name_Hall 'P 1'
_cell_length_a 4.3713
_cell_length_b 4.3713
_cell_length_c 4.3713
_cell_angle_alpha 60.00
_cell_angle_beta 60.00
_cell_angle_gamma 60.00
loop_
_atom_site_label
_atom_site_fract_x
_atom_site_fract_y
_atom_site_fract_z
Mg1 0.0000 0.0000 0.0000
Cu1 0.2500 0.2500 0.2500
Sn1 0.5000 0.5000 0.5000